1.
{"formula": "Li6Fe2O5F2", "functional": "PBE with a Hubbard U", "state": "relaxed", "lattice_angstrom": [[-3.896, 3.381, -2.898], [-1.415, -5.623, 1.183], [-2.293, 3.096, 9.195]], "species": ["O", "Fe", "F", "O", "O", "F", "Li", "O", "Li", "Li", "Li", "Fe", "Li", "Fe", "O", "Li", "F", "O", "Fe", "Li", "Li", "O", "Li", "Li", "Li", "Li", "F", "O", "O", "O"], "fractional_positions": [[0.245, 0.737, 0.471], [0.619, 0.454, 0.619], [0.984, 0.332, 0.253], [0.760, 0.505, 0.021], [0.490, 0.366, 0.251], [0.016, 0.668, 0.747], [0.586, 0.927, 0.607], [0.262, 0.260, 0.502], [0.415, 0.336, 0.889], [0.123, 0.919, 0.582], [0.874, 0.791, 0.908], [0.390, 0.791, 0.885], [0.877, 0.081, 0.418], [0.381, 0.546, 0.381], [0.264, 0.996, 0.996], [0.126, 0.209, 0.092], [0.493, 0.865, 0.246], [0.738, 0.740, 0.498], [0.610, 0.209, 0.115], [0.131, 0.683, 0.099], [0.135, 0.475, 0.606], [0.736, 0.004, 0.004], [0.414, 0.073, 0.393], [0.869, 0.317, 0.901], [0.865, 0.525, 0.394], [0.585, 0.664, 0.111], [0.507, 0.135, 0.754], [0.240, 0.495, 0.979], [0.755, 0.263, 0.529], [0.510, 0.634, 0.749]], "delta_e_f_ev_per_atom": -2.208, "energy_ev_per_atom": -5.41}

2.
{"formula": "Li3Fe4O3F9", "functional": "PBE with a Hubbard U", "state": "relaxed", "lattice_angstrom": [[-3.324, -1.955, -4.497], [0.592, -5.096, 3.098], [-4.278, 2.741, 3.341]], "species": ["F", "Li", "Li", "Fe", "Li", "Fe", "F", "O", "Fe", "O", "F", "Fe", "F", "O", "F", "F", "F", "F", "F"], "fractional_positions": [[0.889, 0.671, 0.047], [0.869, 0.681, 0.392], [0.295, 0.602, 0.119], [0.607, 0.150, 0.347], [0.009, 0.994, 0.003], [0.142, 0.341, 0.617], [0.071, 0.881, 0.690], [0.819, 0.403, 0.588], [0.392, 0.863, 0.682], [0.418, 0.592, 0.806], [0.105, 0.306, 0.928], [0.666, 0.410, 0.846], [0.571, 0.397, 0.171], [0.399, 0.171, 0.579], [0.936, 0.104, 0.317], [0.186, 0.577, 0.405], [0.680, 0.069, 0.894], [0.606, 0.836, 0.450], [0.342, 0.954, 0.117]], "relative_energy_mev_per_atom": 9.2, "delta_e_f_ev_per_atom": -2.489, "energy_ev_per_atom": -5.46}

3.
{"formula": "LiFe5O5F", "functional": "PBE with a Hubbard U", "state": "relaxed", "lattice_angstrom": [[1.794, -3.073, 0.000], [1.794, 3.073, 0.000], [0.000, 0.000, 13.451]], "species": ["Fe", "O", "Fe", "Fe", "Fe", "O", "O", "O", "O", "F", "Li", "Fe"], "fractional_positions": [[0.327, 0.673, 0.166], [0.676, 0.324, 0.162], [0.327, 0.673, 0.834], [0.659, 0.341, 0.669], [0.659, 0.341, 0.331], [0.334, 0.666, 0.668], [0.334, 0.666, 0.332], [0.676, 0.324, 0.838], [0.677, 0.323, 0.500], [0.335, 0.665, 0.000], [0.666, 0.334, 0.000], [0.328, 0.672, 0.500]], "relative_energy_mev_per_atom": 0.0, "delta_e_f_ev_per_atom": -1.695, "energy_ev_per_atom": -6.34}

4.
{"formula": "Li2Fe4O3F8", "functional": "PBE with a Hubbard U", "state": "relaxed", "lattice_angstrom": [[-4.894, -0.322, -1.327], [0.751, -6.400, 1.754], [0.141, 3.859, 5.671]], "species": ["F", "F", "F", "F", "O", "O", "F", "Fe", "Li", "Fe", "F", "Fe", "F", "O", "Fe", "F", "Li"], "fractional_positions": [[0.946, 0.204, 0.662], [0.628, 0.711, 0.522], [0.054, 0.796, 0.338], [0.196, 0.642, 0.745], [0.264, 0.472, 0.050], [0.736, 0.528, 0.950], [0.372, 0.289, 0.478], [0.909, 0.250, 0.972], [0.663, 0.179, 0.391], [0.655, 0.622, 0.241], [0.514, 0.884, 0.199], [0.091, 0.750, 0.028], [0.804, 0.358, 0.255], [0.000, 0.000, 0.000], [0.345, 0.378, 0.759], [0.486, 0.116, 0.801], [0.337, 0.821, 0.609]], "relative_energy_mev_per_atom": 0.0, "delta_e_f_ev_per_atom": -2.434, "energy_ev_per_atom": -5.56}